# 1
First-principles (PBE) data for a relaxed structure of Ti4ZnS8, as listed in Materials Project.

Lattice parameters (Å, degrees): 7.382 7.382 7.382 55.04 55.04 55.04
Element x y z (fractional)
1 Ti 0.000 0.000 0.000
2 Ti 0.000 0.500 0.500
3 Ti 0.500 0.000 0.500
4 Ti 0.500 0.500 0.000
5 Zn 0.500 0.500 0.500
6 S 0.247 0.247 0.741
7 S 0.247 0.741 0.247
8 S 0.258 0.258 0.258
9 S 0.259 0.753 0.753
10 S 0.741 0.247 0.247
11 S 0.742 0.742 0.742
12 S 0.753 0.259 0.753
13 S 0.753 0.753 0.259

# 2
First-principles (PBE) data for a relaxed structure of Ti4ZnS8, as listed in Materials Project.

Lattice parameters (Å, degrees): 6.996 6.996 6.996 60.39 60.39 60.39
Element x y z (fractional)
1 Ti 0.000 0.000 0.000
2 Ti 0.000 0.000 0.500
3 Ti 0.000 0.500 0.000
4 Ti 0.500 0.000 0.000
5 Zn 0.500 0.500 0.500
6 S 0.243 0.752 0.752
7 S 0.246 0.246 0.246
8 S 0.248 0.248 0.757
9 S 0.248 0.757 0.248
10 S 0.752 0.243 0.752
11 S 0.752 0.752 0.243
12 S 0.754 0.754 0.754
13 S 0.757 0.248 0.248

# 3
First-principles (PBE) data for a relaxed structure of ZrTiS4, as listed in Materials Project.

Lattice parameters (Å, degrees): 3.571 3.571 12.296 90.00 90.00 120.00
Element x y z (fractional)
1 Zr 0.000 0.000 0.000
2 Ti 0.000 0.000 0.500
3 S 0.333 0.667 0.123
4 S 0.333 0.667 0.610
5 S 0.667 0.333 0.390
6 S 0.667 0.333 0.877

# 4
First-principles (PBE) data for a relaxed structure of ZrTiS6, as listed in Materials Project.

Lattice parameters (Å, degrees): 5.127 3.545 9.169 90.00 96.37 90.00
Element x y z (fractional)
1 Zr 0.000 0.000 0.000
2 Ti 0.556 0.500 0.300
3 S 0.042 0.500 0.207
4 S 0.161 0.500 0.820
5 S 0.392 0.000 0.463
6 S 0.520 0.000 0.105
7 S 0.758 0.500 0.825
8 S 0.787 0.000 0.460

# 5
First-principles (PBE) data for a relaxed structure of TlS, as listed in Materials Project.

Lattice parameters (Å, degrees): 6.631 6.631 6.631 106.09 106.09 116.47
Element x y z (fractional)
1 Tl 0.250 0.250 0.000
2 Tl 0.250 0.750 0.500
3 Tl 0.750 0.250 0.500
4 Tl 0.750 0.750 0.000
5 S 0.171 0.671 0.842
6 S 0.329 0.171 0.500
7 S 0.671 0.829 0.500
8 S 0.829 0.329 0.158

# 6
First-principles (PBE) data for a relaxed structure of Tl3S, as listed in Materials Project.

Lattice parameters (Å, degrees): 6.736 6.736 5.788 90.00 90.00 120.00
Element x y z (fractional)
1 Tl 0.172 0.343 0.250
2 Tl 0.172 0.828 0.250
3 Tl 0.343 0.172 0.750
4 Tl 0.657 0.828 0.250
5 Tl 0.828 0.172 0.750
6 Tl 0.828 0.657 0.750
7 S 0.333 0.667 0.750
8 S 0.667 0.333 0.250

# 7
First-principles (PBE) data for a relaxed structure of Tl3S, as listed in Materials Project.

Lattice parameters (Å, degrees): 6.124 6.124 6.124 134.85 134.85 65.76
Element x y z (fractional)
1 Tl 0.000 0.000 0.000
2 Tl 0.250 0.750 0.500
3 Tl 0.750 0.250 0.500
4 S 0.500 0.500 0.000

# 8
First-principles (PBE) data for a relaxed structure of Tl6S, as listed in Materials Project.

Lattice parameters (Å, degrees): 6.572 6.572 6.010 90.00 90.00 120.00
Element x y z (fractional)
1 Tl 0.000 0.385 0.000
2 Tl 0.000 0.650 0.516
3 Tl 0.350 0.350 0.516
4 Tl 0.385 0.000 0.000
5 Tl 0.615 0.615 0.000
6 Tl 0.650 0.000 0.516
7 S 0.000 0.000 0.220

Number 1: ΔE_f -1.5102 eV per atom, MP2020-corrected energy -6.582 eV per atom. Number 2: ΔE_f -1.4830 eV per atom, MP2020-corrected energy -6.555 eV per atom. Number 3: ΔE_f -1.6959 eV per atom, MP2020-corrected energy -7.194 eV per atom. Number 4: ΔE_f -1.4399 eV per atom, MP2020-corrected energy -6.598 eV per atom. Number 5: ΔE_f -0.4556 eV per atom, MP2020-corrected energy -3.705 eV per atom. Number 6: ΔE_f -0.2240 eV per atom, MP2020-corrected energy -3.030 eV per atom. Number 7: ΔE_f -0.2300 eV per atom, MP2020-corrected energy -3.036 eV per atom. Number 8: ΔE_f -0.1304 eV per atom, MP2020-corrected energy -2.746 eV per atom.